No. 1
Entry from the Materials Project: a relaxed structure of LiSnN (PBE).

Cell and atoms, written as POSCAR:
```
LiSnN
1.0
10.289 0.000 0.000
0.000 3.241 0.000
0.000 0.000 5.627
N Sn Li
4 4 4
Cartesian
4.790 0.810 1.539 N
0.354 2.431 4.352 N
5.499 2.431 4.089 N
9.935 0.810 1.275 N
1.382 0.810 5.482 Sn
8.907 2.431 0.146 Sn
3.762 2.431 2.668 Sn
6.526 0.810 2.959 Sn
4.215 2.431 0.041 Li
0.929 0.810 2.855 Li
9.359 2.431 2.772 Li
6.074 0.810 5.586 Li
```

Properties
- raw total energy (eV per atom) = -4.87
- ΔE_f (eV/atom) = -0.24
- polymorph energy (0 for the lowest one) (meV/atom) = 68.0

=====

No. 2
Entry from the Materials Project: a relaxed structure of Sr2LiN (PBE).

Cell and atoms, written as POSCAR:
```
Sr2LiN
1.0
5.953 -4.231 -1.488
5.470 -3.182 3.939
-7.258 1.423 -0.922
Sr Li N
2 1 1
Cartesian
3.999 -2.595 0.858 Sr
7.587 -4.923 1.628 Sr
11.203 -7.270 2.404 Li
9.573 -6.212 2.054 N
```

Properties
- raw total energy (eV per atom) = -3.68
- ΔE_f (eV/atom) = -0.37